# MgMn6O10F2

Crystalline MgMn6O10F2 at its relaxed geometry (GGA+U, the Materials Project).

The structure in POSCAR format:
```
MgMn6O10F2
1.0
5.053 0.000 0.000
0.914 4.999 0.000
0.108 0.137 8.714
Mg Mn O F
1 6 10 2
Cartesian
0.000 0.000 0.000
0.843 2.615 5.829
0.857 2.472 0.053
3.431 4.810 4.315
3.450 4.745 7.204
3.436 4.783 1.583
5.362 2.253 2.955
1.005 1.119 1.438
1.143 1.325 7.354
1.163 1.314 4.411
2.550 3.860 5.788
2.527 3.828 0.042
2.609 3.886 2.930
3.402 0.753 2.897
4.864 3.430 4.379
5.017 3.565 1.433
5.237 3.711 7.386
3.351 0.858 0.036
3.435 0.753 5.815
```

Results
- energy of formation from the pure elements (eV/atom) = -2.041
- VASP energy (Ry per atom) = -0.506
- space group = P1



# MgV5Mo5O25

Crystalline MgV5Mo5O25 at its relaxed geometry (GGA+U, the Materials Project).

The structure in POSCAR format:
```
MgV5Mo5O25
1.0
5.562 0.000 0.000
1.178 6.282 0.000
1.492 2.870 13.821
Mg V Mo O
1 5 5 25
Cartesian
0.000 0.000 0.000
1.825 3.520 5.771
3.645 7.049 11.526
4.477 4.625 0.665
4.659 2.969 3.303
6.339 6.481 8.973
1.757 4.529 11.188
3.598 6.142 6.327
2.788 2.050 0.067
4.549 3.847 8.436
6.520 5.551 3.480
2.017 6.437 10.503
1.909 6.232 7.741
2.038 2.647 11.872
2.128 5.423 5.095
1.220 1.556 0.706
2.030 5.369 2.110
2.096 1.597 6.126
3.457 5.098 12.030
3.222 3.970 9.601
3.445 4.054 6.864
4.504 6.948 13.345
3.381 3.072 4.357
4.890 7.041 10.407
4.659 5.978 7.906
3.999 2.851 1.468
4.871 5.897 5.152
3.592 0.295 0.458
4.937 4.870 2.601
4.926 2.128 8.572
6.124 4.795 12.476
6.001 4.569 9.567
5.129 1.063 3.397
6.180 3.765 6.916
7.413 7.215 13.682
6.305 3.570 4.140
```

Results
- energy of formation from the pure elements (eV/atom) = -2.164
- VASP energy (Ry per atom) = -0.533
- space group = P1



# KLaMnWO6

Crystalline KLaMnWO6 at its relaxed geometry (GGA+U, the Materials Project).

The structure in POSCAR format:
```
KLaMnWO6
1.0
0.000 4.070 4.070
4.070 0.000 4.070
4.070 4.070 0.000
K La Mn W O
1 1 1 1 6
Cartesian
0.000 0.000 0.000
4.070 4.070 4.070
6.105 6.105 6.105
2.035 2.035 2.035
2.035 2.035 0.094
2.035 0.094 2.035
3.976 2.035 2.035
0.094 2.035 2.035
2.035 3.976 2.035
2.035 2.035 3.976
```

Results
- energy of formation from the pure elements (eV/atom) = -2.577
- VASP energy (Ry per atom) = -0.539
- space group = F-43m



# CoP2O7

Crystalline CoP2O7 at its relaxed geometry (GGA+U, the Materials Project).

The structure in POSCAR format:
```
CoP2O7
1.0
6.473 0.000 0.000
2.854 9.280 0.000
1.008 4.673 9.507
Co P O
4 8 28
Cartesian
0.000 0.000 0.000
2.747 8.266 9.246
6.424 7.984 5.020
8.187 11.581 4.781
2.040 6.183 6.819
4.864 10.881 4.292
4.818 10.826 9.099
4.357 5.419 5.175
3.324 0.707 0.485
7.128 10.062 7.455
7.727 8.903 2.778
6.935 2.691 2.001
1.209 3.977 1.563
3.713 11.388 5.160
3.898 12.025 9.001
2.659 7.355 7.595
1.553 1.788 2.761
4.159 9.481 8.779
3.239 5.225 6.331
4.888 9.198 0.284
3.707 5.529 3.793
3.077 2.210 0.331
5.106 9.375 4.430
4.466 6.015 0.969
3.300 2.385 4.508
5.931 11.027 7.940
4.998 6.777 5.476
6.644 9.816 2.016
6.505 8.897 6.670
5.286 4.229 5.299
5.478 4.869 9.120
6.973 7.615 3.202
7.978 10.962 6.562
5.766 2.864 2.963
7.834 9.563 8.703
8.061 9.598 4.108
7.791 6.670 5.576
6.602 1.989 0.671
8.899 8.727 1.818
7.680 5.277 7.725
```

Results
- energy of formation from the pure elements (eV/atom) = -2.056
- VASP energy (Ry per atom) = -0.490
- space group = P1



# CaCr2P2O9

Crystalline CaCr2P2O9 at its relaxed geometry (GGA+U, the Materials Project).

The structure in POSCAR format:
```
CaCr2P2O9
1.0
14.319 0.000 0.000
0.000 6.446 0.000
0.000 0.000 7.447
Ca Cr P O
4 8 8 36
Cartesian
3.156 1.612 0.802
4.004 4.835 4.526
10.315 1.612 2.922
11.163 4.835 6.645
0.000 0.000 0.000
0.000 3.223 0.000
1.743 1.612 4.833
5.416 4.835 1.109
7.159 0.000 3.724
7.159 3.223 3.724
8.902 1.612 6.338
12.576 4.835 2.614
0.938 4.835 4.764
2.736 4.835 0.810
4.423 1.612 4.534
6.221 1.612 1.040
8.098 4.835 6.407
9.895 4.835 2.913
11.583 1.612 6.637
13.380 1.612 2.683
0.116 1.612 3.747
0.244 4.835 6.183
0.803 1.612 6.522
1.856 3.560 0.775
1.856 6.110 0.775
1.903 3.623 4.713
1.903 6.047 4.713
3.348 1.612 3.403
3.549 1.612 5.828
3.610 4.835 2.104
3.811 4.835 7.126
5.256 0.400 0.989
5.256 2.824 0.989
5.304 0.337 4.498
5.304 2.886 4.498
6.357 4.835 2.798
6.915 1.612 2.460
7.044 4.835 0.023
7.275 1.612 7.424
7.404 4.835 4.988
7.962 1.612 4.649
9.015 3.560 2.949
9.015 6.110 2.949
9.063 3.623 6.458
9.063 6.047 6.458
10.507 1.612 0.321
10.709 1.612 5.343
10.770 4.835 1.619
10.971 4.835 4.045
12.415 0.400 2.735
12.415 2.824 2.735
12.463 0.337 6.673
12.463 2.886 6.673
13.516 4.835 0.926
14.075 1.612 1.264
14.203 4.835 3.701
```

Results
- energy of formation from the pure elements (eV/atom) = -2.816
- VASP energy (Ry per atom) = -0.556
- space group = Pnma



# Mo3H12C4NO10

Crystalline Mo3H12C4NO10 at its relaxed geometry (GGA+U, the Materials Project).

The structure in POSCAR format:
```
Mo3H12C4NO10
1.0
0.000 7.279 7.279
7.279 0.000 7.279
7.279 7.279 0.000
Mo H C N O
6 24 8 2 20
Cartesian
7.279 7.279 2.356
7.279 2.356 7.279
12.203 7.279 7.279
2.356 7.279 7.279
7.279 12.203 7.279
7.279 7.279 12.203
3.860 2.148 2.148
5.132 3.419 2.148
5.132 2.148 3.419
2.148 3.860 2.148
3.419 5.132 2.148
2.148 2.148 3.860
5.132 5.132 3.860
3.419 2.148 5.132
5.132 3.860 5.132
2.148 5.132 3.419
2.148 3.419 5.132
3.860 5.132 5.132
10.699 9.427 9.427
12.411 11.140 9.427
12.411 9.427 11.140
9.427 10.699 9.427
11.140 12.411 9.427
9.427 9.427 10.699
12.411 12.411 10.699
11.140 9.427 12.411
12.411 10.699 12.411
9.427 12.411 11.140
9.427 11.140 12.411
10.699 12.411 12.411
4.507 2.773 2.773
2.773 4.507 2.773
2.773 2.773 4.507
4.507 4.507 4.507
10.052 10.052 10.052
11.786 11.786 10.052
11.786 10.052 11.786
10.052 11.786 11.786
3.640 3.640 3.640
10.919 10.919 10.919
0.000 0.000 0.000
1.906 1.906 0.000
5.373 5.373 0.000
1.906 0.000 1.906
7.279 5.373 1.906
5.373 0.000 5.373
7.279 1.906 5.373
0.000 1.906 1.906
5.373 7.279 1.906
5.373 1.906 7.279
7.279 7.279 4.071
7.279 4.071 7.279
10.488 7.279 7.279
7.279 7.279 7.279
4.071 7.279 7.279
7.279 10.488 7.279
7.279 7.279 10.488
0.000 5.373 5.373
1.906 7.279 5.373
1.906 5.373 7.279
```

Results
- energy of formation from the pure elements (eV/atom) = -0.887
- VASP energy (Ry per atom) = -0.436
- space group = Fm-3m



# Li5Mn2P2C2O14

Crystalline Li5Mn2P2C2O14 at its relaxed geometry (GGA+U, the Materials Project).

The structure in POSCAR format:
```
Li5Mn2P2C2O14
1.0
6.483 0.000 0.000
-0.055 8.526 0.000
-0.008 -0.699 10.056
Li Mn P C O
10 4 4 4 28
Cartesian
0.000 0.000 0.000
6.477 -0.340 4.915
1.397 6.530 7.466
2.869 -0.319 4.908
2.823 8.515 0.004
3.150 3.855 2.502
4.588 5.063 5.110
4.613 5.428 0.027
5.989 3.414 7.502
6.171 3.854 2.485
1.434 3.417 0.125
1.436 3.093 5.283
4.653 0.134 7.307
4.684 0.483 2.274
1.384 0.734 7.615
1.436 1.132 2.592
4.671 2.409 4.800
4.690 2.039 9.882
1.359 5.255 9.842
1.372 5.637 4.820
4.639 6.404 2.686
4.675 6.062 7.748
0.212 0.375 2.021
0.213 -0.170 7.114
1.269 2.171 7.079
1.276 4.340 8.895
1.340 5.239 6.054
1.367 6.506 9.463
1.414 0.783 9.172
1.420 1.140 4.151
1.396 4.665 3.914
1.388 6.860 4.484
1.450 2.619 2.104
1.454 5.569 0.992
2.616 -0.047 7.069
2.671 0.375 2.044
3.446 3.252 5.224
3.479 3.575 0.320
4.559 7.024 8.652
4.661 1.274 0.340
4.615 6.408 6.498
4.662 0.952 5.325
4.645 5.167 3.070
4.637 6.752 1.447
4.634 7.353 3.601
4.753 2.373 3.245
4.812 1.974 8.348
4.851 4.863 8.142
5.855 3.251 5.373
5.876 3.568 0.425
```

Results
- energy of formation from the pure elements (eV/atom) = -2.371
- VASP energy (Ry per atom) = -0.508
- space group = P1



# Ba2SmMoO6

Crystalline Ba2SmMoO6 at its relaxed geometry (GGA+U, the Materials Project).

The structure in POSCAR format:
```
Ba2SmMoO6
1.0
0.000 4.304 4.304
4.304 0.000 4.304
4.304 4.304 0.000
Ba Sm Mo O
2 1 1 6
Cartesian
2.152 2.152 2.152
6.455 6.455 6.455
0.000 0.000 0.000
4.304 4.304 4.304
4.304 4.304 2.300
4.304 2.300 4.304
6.308 4.304 4.304
2.300 4.304 4.304
4.304 6.308 4.304
4.304 4.304 6.308
```

Results
- energy of formation from the pure elements (eV/atom) = -2.977
- VASP energy (Ry per atom) = -0.526
- space group = Fm-3m